Compound: BiTeO4
Source: Materials Project
Functional: r²SCAN
Structure: relaxed

a = 6.968 Å, b = 6.968 Å, c = 10.274 Å
α = 67.48°, β = 67.48°, γ = 47.23°
Fractional coordinates of all 24 atoms:
Bi1 0.026 0.974 0.500
Bi2 0.951 0.049 0.000
Bi3 0.687 0.766 0.901
Bi4 0.234 0.313 0.099
Te1 0.503 0.497 0.750
Te2 0.503 0.497 0.250
Te3 0.349 0.186 0.634
Te4 0.814 0.651 0.366
O1 0.788 0.351 0.593
O2 0.649 0.212 0.407
O3 0.201 0.641 0.906
O4 0.359 0.799 0.094
O5 0.718 0.481 0.834
O6 0.519 0.282 0.166
O7 0.293 0.487 0.668
O8 0.513 0.707 0.332
O9 0.911 0.717 0.159
O10 0.283 0.089 0.841
O11 0.078 0.289 0.346
O12 0.711 0.922 0.654
O13 0.152 0.649 0.360
O14 0.351 0.848 0.640
O15 0.847 0.360 0.126
O16 0.640 0.153 0.874

Calculated values
As for the space-group type: C2, No. 5. The calculation puts the energy above the most stable polymorph in this dataset at 0.03 eV per formula unit. As for the formation enthalpy at 0 K: -1276 meV per atom.